(1)
Entry from the Materials Project: a relaxed structure of Sr2Ga3Au6 (GGA-PBE).

Unit cell a=8.5631 b=8.5631 c=22.3592 alpha=90.00 beta=90.00 gamma=120.00
Closest atoms and distances in Å follow each position.
Space group R-3c (No. 167, hexagonal axes)
Asymmetric unit:
Sr 0.0000 0.0000 0.0897 x12  12 Au 3.29-3.69, 3 Ga 3.59
Ga 0.0000 0.1966 0.2500 x18  6 Au 2.64-2.85, 2 Ga 2.92
Au 0.0170 0.3735 0.3486 x36  3 Ga 2.64-2.85, 2 Au 2.92

Properties
Energy: -3.48 eV per atom
Calculated volume: 21.51 Å³ per atom


(2)
Entry from the Materials Project: a relaxed structure of Sr2Ga3Au3 (GGA-PBE).

Unit cell a=3.0988 b=3.0988 c=22.6649 alpha=90.00 beta=90.00 gamma=90.00
Closest atoms and distances in Å follow each position.
Space group P4/mmm (No. 123)
Asymmetric unit:
Sr 0.0000 0.0000 0.2460 x2  1 Au 3.01, 4 Sr 3.10, 1 Ga 3.19
Ga 0.0000 0.0000 0.0000 x1  2 Au 2.57
Ga 0.0000 0.0000 0.3868 x2  1 Au 2.57
Au 0.0000 0.0000 0.1134 x2  1 Ga 2.57
Au 0.0000 0.0000 0.5000 x1  2 Ga 2.57

Properties
Energy: -2.43 eV per atom
Calculated volume: 27.21 Å³ per atom


(3)
Entry from the Materials Project: a relaxed structure of TbGaAu (GGA-PBE).

Unit cell a=10.5066 b=4.5325 c=7.1773 alpha=90.00 beta=131.75 gamma=90.00
Closest atoms and distances in Å follow each position.
Space group C2/m (No. 12)
Asymmetric unit:
Tb 0.0367 0.0000 0.2969 x4  6 Au 3.07-3.26, 6 Ga 3.14-3.31
Ga 0.1582 0.5000 0.1071 x4  1 Ga 2.57, 2 Au 2.61
Au 0.1778 0.5000 0.7176 x4  2 Ga 2.61, 1 Au 2.86

Properties
Energy: -4.44 eV per atom
Calculated volume: 21.25 Å³ per atom